#i
Li4TiCo5O12 after structural relaxation. Source: the Materials Project, functional PBE with a Hubbard U.

Lattice parameters (Å, degrees): 10.8124 10.8124 4.9601 94.55 94.55 46.51
Last column: nearest neighbours and their distance in Å.
Sites, in units of the cell vectors:
Li1 0.0444 0.7088 0.7822  6 O 2.05-2.24
Li2 0.2059 0.5486 0.2899  6 O 2.04-2.23
Li3 0.2912 0.9556 0.2178  6 O 2.05-2.24
Li4 0.4514 0.7941 0.7101  6 O 2.04-2.23
Li5 0.5486 0.2059 0.2899  6 O 2.04-2.23
Li6 0.7088 0.0444 0.7822  6 O 2.05-2.24
Li7 0.7941 0.4514 0.7101  6 O 2.04-2.23
Li8 0.9556 0.2912 0.2178  6 O 2.05-2.24
Ti1 0.2505 0.2505 0.7531  6 O 1.99-2.00
Ti2 0.7495 0.7495 0.2469  6 O 1.99-2.00
Co1 0.0000 0.0000 0.0000  6 O 1.92-1.94
Co2 0.0836 0.4165 0.2504  6 O 1.93-1.94
Co3 0.1646 0.8354 0.5000  6 O 1.84-1.92
Co4 0.3341 0.6659 0.0000  6 O 1.91-2.09
Co5 0.4165 0.0836 0.2504  6 O 1.93-1.94
Co6 0.5000 0.5000 0.5000  6 O 1.88-2.05
Co7 0.5835 0.9164 0.7496  6 O 1.93-1.94
Co8 0.6659 0.3341 0.0000  6 O 1.91-2.09
Co9 0.8354 0.1646 0.5000  6 O 1.84-1.92
Co10 0.9164 0.5835 0.7496  6 O 1.93-1.94
O1 0.0268 0.3679 0.5607  2 Co 1.93, 1 Ti 1.99, 1 Li 2.15
O2 0.0507 0.0507 0.3465  3 Co 1.92
O3 0.1189 0.7813 0.1505  3 Co 1.91-1.94
O4 0.1319 0.4752 0.9412  2 Co 1.94, 1 Ti 1.99, 1 Li 2.17
O5 0.1967 0.1967 0.0742  2 Co 1.94, 1 Ti 1.99
O6 0.2187 0.8811 0.8495  3 Co 1.91-1.94
O7 0.2606 0.6280 0.6247  2 Co 1.84-2.05, 2 Li 2.04-2.05
O8 0.3029 0.3029 0.4271  2 Co 1.93, 1 Ti 2.00
O9 0.3679 0.0268 0.5607  2 Co 1.93, 1 Ti 1.99, 1 Li 2.15
O10 0.3720 0.7394 0.3753  2 Co 1.84-2.05, 2 Li 2.04-2.05
O11 0.4506 0.4506 0.1599  3 Co 1.88-1.93
O12 0.4752 0.1319 0.9412  2 Co 1.94, 1 Ti 1.99, 1 Li 2.17
O13 0.5248 0.8681 0.0588  2 Co 1.94, 1 Ti 1.99, 1 Li 2.17
O14 0.5494 0.5494 0.8401  3 Co 1.88-1.93
O15 0.6280 0.2606 0.6247  2 Co 1.84-2.05, 2 Li 2.04-2.05
O16 0.6321 0.9732 0.4393  2 Co 1.93, 1 Ti 1.99, 1 Li 2.15
O17 0.6971 0.6971 0.5729  2 Co 1.93, 1 Ti 2.00
O18 0.7394 0.3720 0.3753  2 Co 1.84-2.05, 2 Li 2.04-2.05
O19 0.7813 0.1189 0.1505  3 Co 1.91-1.94
O20 0.8033 0.8033 0.9258  2 Co 1.94, 1 Ti 1.99
O21 0.8681 0.5248 0.0588  2 Co 1.94, 1 Ti 1.99, 1 Li 2.17
O22 0.8811 0.2187 0.8495  3 Co 1.91-1.94
O23 0.9493 0.9493 0.6535  3 Co 1.92
O24 0.9732 0.6321 0.4393  2 Co 1.93, 1 Ti 1.99, 1 Li 2.15

## Properties
Total magnetization ... 1.00 μB per formula unit

#ii
Li4TiCo5O12 after structural relaxation. Source: the Materials Project, functional PBE with a Hubbard U.

Lattice parameters (Å, degrees): 4.9735 8.5668 10.8736 113.11 95.84 90.01
Last column: nearest neighbours and their distance in Å.
Sites, in units of the cell vectors:
Li1 0.0000 0.0000 0.0000  5 O 2.06-2.26
Li2 0.0089 0.2594 0.5192  5 O 2.07-2.28
Li3 0.0618 0.9085 0.5115  5 O 2.05-2.19
Li4 0.4490 0.4964 0.0079  6 O 2.08-2.29
Li5 0.5002 0.1420 0.0005  5 O 2.04-2.24
Li6 0.5088 0.4062 0.5190  5 O 2.05-2.26
Li7 0.5623 0.7494 0.5122  6 O 2.08-2.28
Li8 0.9495 0.6555 0.0087  5 O 2.05-2.22
Ti1 0.0017 0.4544 0.2604  6 O 1.97-2.01
Ti2 0.5022 0.9551 0.2605  6 O 1.97-2.01
Co1 0.0022 0.7873 0.2602  6 O 1.93-1.94
Co2 0.0026 0.1206 0.2598  6 O 1.92-2.11
Co3 0.2524 0.5419 0.7655  6 O 1.90-1.97
Co4 0.2568 0.2064 0.7605  5 O 1.89-2.10
Co5 0.2611 0.8679 0.7527  6 O 1.86-1.95
Co6 0.5025 0.2891 0.2597  6 O 1.92-2.12
Co7 0.5021 0.6229 0.2602  6 O 1.93-1.94
Co8 0.7525 0.3751 0.7669  6 O 1.86-1.95
Co9 0.7571 0.7056 0.7591  6 O 1.89-2.12
Co10 0.7613 0.0363 0.7541  6 O 1.90-1.97
O1 0.0966 0.4414 0.8707  3 Co 1.90-2.10, 2 Li 2.05-2.11
O2 0.1049 0.7624 0.8578  3 Co 1.90-1.94, 1 Li 2.12
O3 0.1220 0.0783 0.8566  3 Co 1.89-1.97, 1 Li 2.06
O4 0.1671 0.3396 0.3727  2 Co 1.92-2.12, 1 Ti 1.97, 1 Li 2.12
O5 0.1801 0.0064 0.3652  2 Co 1.93, 1 Ti 2.01
O6 0.1982 0.6775 0.3654  2 Co 1.93-1.94, 1 Ti 1.99, 1 Li 2.16
O7 0.3061 0.7322 0.1547  2 Co 1.94, 1 Ti 1.99, 1 Li 2.17
O8 0.3246 0.4040 0.1557  2 Co 1.92-1.93, 1 Ti 2.01
O9 0.3375 0.0699 0.1474  2 Co 1.92-2.11, 1 Ti 1.97, 1 Li 2.11
O10 0.3962 0.3298 0.6638  3 Co 1.90-1.95, 1 Li 2.05
O11 0.4090 0.6518 0.6608  3 Co 1.89-1.95
O12 0.4117 0.9671 0.6495  2 Co 1.86-1.93, 1 Li 2.08
O13 0.6019 0.5771 0.8702  2 Co 1.86-1.93
O14 0.6047 0.2504 0.8587  3 Co 1.89-1.95
O15 0.6177 0.9253 0.8558  3 Co 1.90-1.95, 1 Li 2.04
O16 0.6671 0.1824 0.3724  2 Co 1.92-2.11, 1 Ti 1.97, 1 Li 2.12
O17 0.6800 0.5083 0.3652  2 Co 1.93, 1 Ti 2.01
O18 0.6984 0.8376 0.3658  2 Co 1.94, 1 Ti 1.99
O19 0.8062 0.5726 0.1549  2 Co 1.94, 1 Ti 1.99, 1 Li 2.16
O20 0.8248 0.9020 0.1554  2 Co 1.92-1.93, 1 Ti 2.01
O21 0.8374 0.2274 0.1471  2 Co 1.92-2.11, 1 Ti 1.97, 1 Li 2.10
O22 0.8919 0.4819 0.6630  3 Co 1.89-1.97, 1 Li 2.07
O23 0.9088 0.1646 0.6618  3 Co 1.90-1.94, 1 Li 2.11
O24 0.9170 0.8309 0.6490  3 Co 1.90-2.10, 2 Li 2.05-2.11

## Properties
Total magnetization ... 1.00 μB per formula unit

Which structure wins on stability? #i wins.

#i
Li4TiCo5O12 after structural relaxation. Source: the Materials Project, functional PBE with a Hubbard U.

Lattice parameters (Å, degrees): 4.9207 4.9207 9.9505 90.17 90.17 119.69
Last column: nearest neighbours and their distance in Å.
Sites, in units of the cell vectors:
Li1 0.1573 0.6619 0.7473  4 O 1.99-2.05
Li2 0.3381 0.8427 0.2527  4 O 1.99-2.05
Li3 0.6619 0.1573 0.7473  4 O 1.99-2.05
Li4 0.8427 0.3381 0.2527  4 O 1.99-2.05
Ti1 0.5000 0.5000 0.0000  6 O 1.96-2.00
Co1 0.0000 0.0000 0.5000  6 O 1.88-1.92
Co2 0.1648 0.8352 0.0000  6 O 1.92-1.95
Co3 0.3352 0.6648 0.5000  6 O 1.90-1.94
Co4 0.6648 0.3352 0.5000  6 O 1.90-1.94
Co5 0.8352 0.1648 0.0000  6 O 1.92-1.95
O1 0.0029 0.6675 0.3989  3 Co 1.92-1.94, 2 Li 2.02-2.05
O2 0.1598 0.5037 0.1071  2 Co 1.94-1.95, 2 Li 1.99-2.04, 1 Ti 2.00
O3 0.1614 0.1614 0.8968  2 Co 1.92, 1 Ti 1.96
O4 0.3264 0.3264 0.4031  3 Co 1.88-1.90
O5 0.3325 0.9971 0.6011  3 Co 1.92-1.94, 2 Li 2.02-2.05
O6 0.4963 0.8402 0.8929  2 Co 1.94-1.95, 2 Li 1.99-2.04, 1 Ti 2.00
O7 0.5037 0.1598 0.1071  2 Co 1.94-1.95, 2 Li 1.99-2.04, 1 Ti 2.00
O8 0.6675 0.0029 0.3989  3 Co 1.92-1.94, 2 Li 2.02-2.05
O9 0.6736 0.6736 0.5969  3 Co 1.88-1.90
O10 0.8386 0.8386 0.1032  2 Co 1.92, 1 Ti 1.96
O11 0.8402 0.4963 0.8929  2 Co 1.94-1.95, 2 Li 1.99-2.04, 1 Ti 2.00
O12 0.9971 0.3325 0.6011  3 Co 1.92-1.94, 2 Li 2.02-2.05

## Properties
Total magnetization ... 1.00 μB per formula unit

#ii
Li4TiCo5O12 after structural relaxation. Source: the Materials Project, functional PBE with a Hubbard U.

Lattice parameters (Å, degrees): 10.7521 10.7521 4.9069 94.42 94.42 46.52
Last column: nearest neighbours and their distance in Å.
Sites, in units of the cell vectors:
Li1 0.1207 0.1207 0.2068  6 O 2.11-2.21
Li2 0.2009 0.5549 0.7856  6 O 2.08-2.23
Li3 0.3715 0.3807 0.2847  6 O 2.12-2.21
Li4 0.4451 0.7991 0.2144  6 O 2.08-2.23
Li5 0.6193 0.6285 0.7153  6 O 2.12-2.21
Li6 0.7157 0.0398 0.2864  6 O 2.09-2.23
Li7 0.8793 0.8793 0.7932  6 O 2.11-2.21
Li8 0.9602 0.2843 0.7136  6 O 2.09-2.23
Ti1 0.4134 0.0864 0.7485  6 O 1.98-1.99
Ti2 0.9136 0.5866 0.2515  6 O 1.98-1.99
Co1 0.0803 0.4199 0.7504  6 O 1.93
Co2 0.1623 0.8377 0.0000  6 O 1.91-1.95
Co3 0.2464 0.2527 0.2497  6 O 1.93
Co4 0.3281 0.6719 0.5000  6 O 1.92-1.94
Co5 0.4977 0.5023 0.0000  6 O 1.87-1.92
Co6 0.5801 0.9197 0.2496  6 O 1.93
Co7 0.6639 0.3361 0.5000  6 O 1.88-1.92
Co8 0.7473 0.7536 0.7503  6 O 1.93
Co9 0.8289 0.1711 0.0000  6 O 1.89-1.95
Co10 0.9984 0.0016 0.5000  6 O 1.92-1.95
O1 0.0303 0.3620 0.0604  2 Co 1.93, 1 Ti 1.99, 1 Li 2.15
O2 0.0439 0.0585 0.8562  3 Co 1.89-1.95, 2 Li 2.09-2.11
O3 0.1125 0.7846 0.6537  3 Co 1.91-1.93, 2 Li 2.08-2.11
O4 0.1391 0.4688 0.4392  2 Co 1.93, 1 Ti 1.99, 2 Li 2.15
O5 0.1881 0.2038 0.5607  2 Co 1.93, 1 Ti 1.98, 1 Li 2.14
O6 0.2154 0.8875 0.3463  3 Co 1.91-1.93, 2 Li 2.08-2.11
O7 0.2862 0.6125 0.1445  3 Co 1.87-1.95
O8 0.2962 0.3110 0.9397  2 Co 1.93, 1 Ti 1.99, 1 Li 2.12
O9 0.3598 0.0322 0.0737  2 Co 1.93, 1 Ti 1.99, 1 Li 2.15
O10 0.3875 0.7138 0.8555  3 Co 1.87-1.95
O11 0.4457 0.4534 0.6498  3 Co 1.91-1.92
O12 0.4668 0.1404 0.4253  2 Co 1.93, 1 Ti 1.98
O13 0.5312 0.8609 0.5608  2 Co 1.93, 1 Ti 1.99, 2 Li 2.15
O14 0.5466 0.5543 0.3502  3 Co 1.91-1.92
O15 0.6093 0.2882 0.1587  3 Co 1.88-1.95
O16 0.6380 0.9697 0.9396  2 Co 1.93, 1 Ti 1.99, 1 Li 2.15
O17 0.6890 0.7038 0.0603  2 Co 1.93, 1 Ti 1.99, 1 Li 2.12
O18 0.7118 0.3907 0.8413  3 Co 1.88-1.95
O19 0.7786 0.1208 0.6444  3 Co 1.89-1.93
O20 0.7962 0.8119 0.4393  2 Co 1.93, 1 Ti 1.98, 1 Li 2.14
O21 0.8596 0.5332 0.5747  2 Co 1.93, 1 Ti 1.98
O22 0.8792 0.2214 0.3556  3 Co 1.89-1.93
O23 0.9415 0.9561 0.1438  3 Co 1.89-1.95, 2 Li 2.09-2.11
O24 0.9678 0.6402 0.9263  2 Co 1.93, 1 Ti 1.99, 1 Li 2.15

## Properties
Total magnetization ... 1.00 μB per formula unit

#iii
Li4TiCo5O12 after structural relaxation. Source: the Materials Project, functional PBE with a Hubbard U.

Lattice parameters (Å, degrees): 11.1728 11.1728 5.0381 102.29 102.29 44.78
Last column: nearest neighbours and their distance in Å.
Sites, in units of the cell vectors:
Li1 0.1268 0.1268 0.2230  4 O 2.00-2.06
Li2 0.1367 0.1178 0.7273  4 O 2.00-2.17
Li3 0.3724 0.3721 0.2630  4 O 2.00-2.09
Li4 0.3812 0.3641 0.7657  4 O 2.00-2.10
Li5 0.6279 0.6276 0.7370  4 O 2.00-2.09
Li6 0.6359 0.6188 0.2343  4 O 2.00-2.10
Li7 0.8732 0.8732 0.7770  4 O 2.00-2.06
Li8 0.8822 0.8633 0.2727  4 O 2.00-2.17
Ti1 0.2513 0.7487 0.0000  6 O 1.95-2.01
Ti2 0.7497 0.2503 0.5000  6 O 1.94-2.03
Co1 0.0059 0.4943 0.2499  6 O 1.90-1.93
Co2 0.0925 0.9075 0.5000  6 O 1.90-2.13
Co3 0.1703 0.3294 0.7495  6 O 1.91-1.96
Co4 0.3411 0.1585 0.2495  6 O 1.91-1.96
Co5 0.4214 0.5786 0.5000  4 O 1.90-1.93
Co6 0.5057 0.9941 0.7501  6 O 1.90-1.93
Co7 0.5932 0.4068 0.0000  4 O 1.91
Co8 0.6706 0.8297 0.2505  6 O 1.91-1.96
Co9 0.8415 0.6589 0.7505  6 O 1.91-1.96
Co10 0.9247 0.0753 0.0000  6 O 1.91-1.97
O1 0.0298 0.8560 0.0903  2 Co 1.94-2.13, 1 Ti 1.95, 2 Li 2.00-2.02
O2 0.0539 0.5412 0.9695  3 Co 1.90-1.91
O3 0.1237 0.2769 0.0376  3 Co 1.93-1.96, 2 Li 2.04-2.06
O4 0.1440 0.9702 0.9097  2 Co 1.94-2.13, 1 Ti 1.95, 2 Li 2.00-2.02
O5 0.2073 0.6929 0.6118  2 Co 1.90, 1 Ti 1.99
O6 0.2229 0.3759 0.4603  3 Co 1.92-1.96, 2 Li 2.03-2.09
O7 0.2879 0.1121 0.5375  3 Co 1.93-1.96, 2 Li 2.06-2.07
O8 0.3071 0.7927 0.3882  2 Co 1.90, 1 Ti 1.99
O9 0.3748 0.5145 0.0856  2 Co 1.91-2.14, 2 Li 2.00-2.04, 1 Ti 2.01
O10 0.3875 0.2112 0.9604  3 Co 1.92-1.96, 2 Li 2.02-2.10
O11 0.4588 0.9461 0.0305  3 Co 1.90-1.91
O12 0.4855 0.6252 0.9144  2 Co 1.91-2.14, 2 Li 2.00-2.04, 1 Ti 2.01
O13 0.5273 0.3586 0.5822  1 Co 1.93, 1 Ti 1.94, 2 Li 2.00-2.04
O14 0.5532 0.0419 0.4693  3 Co 1.90-1.91
O15 0.6241 0.7771 0.5397  3 Co 1.92-1.96, 2 Li 2.03-2.09
O16 0.6414 0.4727 0.4178  1 Co 1.93, 1 Ti 1.94, 2 Li 2.00-2.04
O17 0.7092 0.1912 0.1143  2 Co 1.91, 1 Ti 1.98
O18 0.7231 0.8763 0.9624  3 Co 1.93-1.96, 2 Li 2.04-2.06
O19 0.7888 0.6125 0.0396  3 Co 1.92-1.96, 2 Li 2.02-2.10
O20 0.8088 0.2908 0.8857  2 Co 1.91, 1 Ti 1.98
O21 0.8780 0.0192 0.6191  2 Co 1.93-1.97, 1 Li 2.00, 1 Ti 2.03
O22 0.8879 0.7121 0.4625  3 Co 1.93-1.96, 2 Li 2.06-2.07
O23 0.9581 0.4468 0.5307  3 Co 1.90-1.91
O24 0.9808 0.1220 0.3809  2 Co 1.93-1.97, 1 Li 2.00, 1 Ti 2.03

## Properties
Total magnetization ... 2.00 μB per formula unit

#iv
Li4TiCo5O12 after structural relaxation. Source: the Materials Project, functional PBE with a Hubbard U.

Lattice parameters (Å, degrees): 4.9630 4.9880 20.0969 90.27 90.94 118.83
Last column: nearest neighbours and their distance in Å.
Sites, in units of the cell vectors:
Li1 0.0000 0.0000 0.0000  4 O 2.02-2.08
Li2 0.0017 0.0142 0.5004  4 O 2.01-2.08
Li3 0.2971 0.2948 0.7551  4 O 2.02-2.08
Li4 0.3025 0.3039 0.2554  4 O 2.02-2.08
Li5 0.5017 0.5000 0.9999  4 O 1.99-2.08
Li6 0.5123 0.5023 0.5003  4 O 2.00-2.09
Li7 0.7949 0.7981 0.7552  4 O 2.01-2.09
Li8 0.8005 0.8042 0.2555  4 O 1.99-2.08
Ti1 0.1511 0.6520 0.1277  6 O 1.95-2.01
Ti2 0.1573 0.6582 0.6264  6 O 1.96-2.03
Co1 0.3156 0.4873 0.8774  6 O 1.91-1.97
Co2 0.3158 0.4878 0.3778  6 O 1.91-1.97
Co3 0.4837 0.3147 0.6284  4 O 1.88-1.92
Co4 0.4894 0.3173 0.1289  6 O 1.89-2.09
Co5 0.6510 0.1521 0.3777  6 O 1.90-1.94
Co6 0.6512 0.1519 0.8775  6 O 1.90-1.94
Co7 0.8128 0.9868 0.1263  6 O 1.89-2.09
Co8 0.8142 0.9851 0.6282  4 O 1.89-1.92
Co9 0.9865 0.8163 0.8775  6 O 1.91-1.97
Co10 0.9866 0.8168 0.3780  6 O 1.91-1.97
O1 0.1208 0.9635 0.6838  2 Co 1.92-2.14, 1 Ti 1.98, 2 Li 2.02-2.04
O2 0.1326 0.9790 0.1829  2 Co 1.95-2.09, 1 Ti 2.01, 2 Li 2.02-2.08
O3 0.1697 0.3253 0.0723  2 Co 1.95-2.09, 1 Ti 2.01, 2 Li 2.02-2.07
O4 0.1838 0.3405 0.5719  1 Co 1.91, 1 Ti 1.98, 2 Li 2.01-2.05
O5 0.3213 0.8233 0.8304  3 Co 1.90-1.92
O6 0.3211 0.8236 0.3309  3 Co 1.90-1.92
O7 0.3229 0.1587 0.9269  3 Co 1.94-1.97, 2 Li 2.05-2.08
O8 0.3237 0.1595 0.4272  3 Co 1.93-1.97, 2 Li 2.05-2.09
O9 0.4644 0.6201 0.6838  2 Co 1.92-2.15, 1 Ti 1.98, 2 Li 2.01-2.03
O10 0.4754 0.6467 0.1844  1 Ti 1.97, 2 Li 1.99-2.08, 2 Co 2.01-2.09
O11 0.4803 0.9678 0.0758  2 Co 1.89-2.02, 1 Ti 1.96
O12 0.4866 0.9894 0.5772  2 Co 1.92, 1 Ti 1.96
O13 0.6436 0.4807 0.8281  3 Co 1.93-1.97, 2 Li 2.03-2.08
O14 0.6436 0.4818 0.3284  3 Co 1.93-1.97, 2 Li 2.05-2.07
O15 0.6585 0.8222 0.9268  3 Co 1.93-1.97, 2 Li 2.05-2.07
O16 0.6588 0.8233 0.4272  3 Co 1.93-1.97, 2 Li 2.05-2.08
O17 0.8133 0.3124 0.6758  2 Co 1.88-1.89, 1 Ti 2.03
O18 0.8220 0.3364 0.1794  2 Co 1.89-2.02, 1 Ti 1.95
O19 0.8269 0.6574 0.0708  1 Ti 1.97, 2 Li 1.99-2.08, 2 Co 2.01-2.09
O20 0.8375 0.6862 0.5720  1 Co 1.92, 1 Ti 1.97, 2 Li 2.00-2.05
O21 0.9785 0.1447 0.8281  3 Co 1.93-1.97, 2 Li 2.04-2.09
O22 0.9793 0.1452 0.3284  3 Co 1.94-1.97, 2 Li 2.05-2.07
O23 0.9804 0.4802 0.4249  3 Co 1.90-1.92
O24 0.9815 0.4808 0.9245  3 Co 1.90-1.91

## Properties
Total magnetization ... 1.00 μB per formula unit

Which structure wins on stability? #ii wins.